Run a
Li3V3P8O29 | the Materials Project database | GGA+U | optimized geometry; magnetic moment = 0.00 Bohr magnetons per cell; density = 2.50 Mg/m³
1.0
9.7632 0.0000 0.0000
4.8674 8.4635 0.0000
0.1246 0.0247 14.2079
Li V P O
6 6 16 58
Cartesian
0.0000 0.0000 0.0000
2.7897 4.6797 6.4303
5.6038 3.9621 1.5916
7.6567 2.4410 7.8456
7.7035 1.9480 0.7737
13.3599 7.7968 8.7007
2.2099 1.9769 4.3514
5.0655 6.7331 11.4196
3.5248 1.9571 11.3774
5.6576 5.6321 4.3951
10.4734 6.7519 4.2467
9.9462 5.6878 11.4980
2.9045 4.8261 9.7707
2.8921 4.7785 2.6604
7.7858 7.6409 13.0998
7.7693 7.6284 6.0239
5.8225 3.8582 12.7299
5.1743 2.6922 5.7232
5.1590 1.2937 3.0754
7.1789 4.5785 10.1842
5.9088 0.0881 10.1751
8.4056 4.5036 3.0096
9.6574 3.8452 5.6545
12.0309 7.8764 12.8036
13.2323 7.7327 5.6142
10.3849 2.6800 12.7099
10.3574 1.2708 10.0743
9.6942 0.0514 3.0750
2.8824 4.8905 8.2775
3.6443 6.1164 10.3117
2.2006 3.5513 3.3672
2.9113 4.7352 1.1796
5.0120 8.2310 10.2182
0.9403 1.2286 3.2276
4.1683 6.3422 5.4201
2.1638 2.6165 12.5415
2.1445 1.3181 10.2758
5.5389 7.1832 3.3063
3.6081 3.5702 10.3587
4.3620 4.7754 3.2322
6.3097 7.6431 12.4834
2.2616 0.4402 5.3746
5.0696 5.2082 12.4905
3.6252 2.7730 5.5791
3.6252 1.3511 3.2428
6.3494 5.9013 10.3685
7.5495 7.6609 0.3709
4.8087 2.7121 12.5346
5.6540 4.1850 5.5116
6.9537 6.4175 5.3863
3.6108 0.4073 12.4211
7.7470 7.6114 7.4978
6.8826 4.8784 3.1393
4.8408 1.2154 10.2535
6.5229 3.8143 14.0411
5.7753 2.0912 6.9274
5.7167 2.0225 1.9025
6.8318 3.8004 8.9832
5.7553 1.9488 4.4149
6.8696 3.7210 11.5280
8.5140 6.3949 12.5017
9.1636 7.5106 5.3235
10.4722 8.2597 3.1417
8.6734 4.9494 10.3231
10.0392 7.1970 10.3692
9.2337 5.8179 3.1963
8.6336 3.6941 1.7949
6.8209 0.2878 11.4923
8.7325 3.6717 4.3435
6.7923 0.1624 8.9845
8.8209 3.6852 6.8569
6.9699 0.2332 14.0199
11.1920 6.5729 12.6301
11.7104 7.4727 5.4722
9.9509 4.1675 12.6260
10.4819 5.1573 5.4922
11.2620 4.8613 10.4410
11.9038 6.0114 3.2966
9.7636 1.9910 11.3885
8.7135 0.2049 4.3460
9.8346 1.9489 13.8888
9.7934 1.8673 8.8503
13.6074 8.3905 6.8874
8.9544 0.1348 1.7877
10.7276 2.6969 5.5140
13.5500 7.4985 12.6434

***

Run b
Li3V3P8O29 | the Materials Project database | GGA+U | optimized geometry; magnetic moment = 0.00 Bohr magnetons per cell; density = 2.42 Mg/m³
1.0
9.7850 0.0000 0.0000
4.8663 8.4934 0.0000
0.0926 0.0309 14.5914
Li V P O
6 6 16 58
Cartesian
0.0000 0.0000 0.0000
1.1696 1.8297 6.8451
5.9259 5.0764 0.9347
7.1553 5.9515 6.8968
8.1214 7.0395 13.9550
12.6171 7.0883 6.8573
3.2167 4.1044 11.3466
2.6190 2.9774 3.8899
9.6577 7.7968 11.2379
7.4856 4.0456 3.9557
10.8711 7.7803 3.8814
8.2089 2.9777 11.2614
1.2008 1.9838 9.9362
3.4464 5.8711 2.6578
2.4037 1.1516 12.5276
4.6604 5.0927 5.2674
3.1144 0.0142 5.1513
6.0771 5.1073 12.5178
7.9965 7.0008 2.5758
7.3878 5.8511 9.9631
5.3911 2.1701 9.6106
5.3593 2.1250 2.2715
10.2418 4.9776 12.9815
10.2601 4.9534 5.6021
8.2925 1.1968 5.2363
12.5832 8.5066 12.5087
12.5028 6.9934 9.9523
9.5580 1.9041 2.6330
3.2927 5.5681 10.1483
2.6727 4.5178 2.8380
1.5749 1.4359 8.6168
4.1969 5.7959 6.4840
4.3583 6.0122 3.9732
1.4999 0.9187 13.6746
4.3056 5.9306 1.4529
1.6183 0.9770 11.1192
3.0863 2.5434 12.4517
2.5360 1.4567 5.1782
4.5547 4.8398 12.4906
3.9481 3.7388 4.9739
4.5693 3.3065 10.3146
3.9092 2.0798 2.9102
7.3799 7.8732 3.7733
6.3687 6.0082 11.2158
6.4879 5.8498 13.7658
7.5864 7.6979 6.3235
6.6586 5.8474 8.6789
7.6531 7.5487 1.2412
6.2067 4.8738 5.2246
3.4922 0.0267 12.4926
5.3252 2.1514 8.1355
5.3466 2.2120 0.7948
6.0428 3.4091 2.9017
7.4042 5.5677 2.7587
8.3331 7.0782 10.1279
4.7955 0.8333 10.2610
4.6567 0.0726 4.9148
6.8577 3.7931 12.3552
6.8394 2.2529 10.1988
9.5392 6.9824 2.8604
8.2016 4.5627 10.2272
6.1009 0.8623 2.8688
9.4767 6.2376 12.4118
8.8042 4.8941 4.9470
7.4568 2.5009 4.9731
11.0383 8.4324 12.3912
8.7495 3.2299 2.8463
10.9675 6.9370 10.2628
8.1522 1.5043 12.3925
10.1886 4.9668 14.4645
10.1727 4.9778 7.0815
12.1967 8.4702 5.2143
10.9468 6.2386 5.0035
9.5580 3.7149 12.3157
9.4532 2.1895 10.1056
12.2075 7.0323 2.7819
12.7723 7.5960 8.6313
9.1561 1.2847 6.4338
9.2640 1.1749 1.3953
9.1870 1.0011 3.9107
13.1510 7.8597 11.1325
13.1864 7.8574 13.6906
11.6992 4.9852 12.3672
11.0315 3.7153 5.0303
11.6755 3.3376 10.2737
11.0685 2.2367 2.8367

***

Stability, highest: run b

***

Run a
Li3V3P8O29 | the Materials Project database | GGA+U | optimized geometry; magnetic moment = 0.00 Bohr magnetons per cell; density = 2.51 Mg/m³
1.0
9.7283 0.0000 0.0000
4.8161 8.4662 0.0000
0.0743 0.1498 14.2468
Li V P O
6 6 16 58
Cartesian
0.0000 0.0000 0.0000
2.3402 3.7590 13.5873
7.7659 3.6546 6.9786
6.5655 0.9121 0.8855
7.1252 0.8394 7.6532
11.2646 6.5587 8.6305
1.6207 0.9132 11.3063
4.3365 5.6037 4.2994
2.8395 0.8113 4.3952
5.0046 4.5563 11.4166
9.8180 5.7292 11.5279
9.1947 4.5277 4.1955
2.2215 3.7844 9.7545
2.2275 3.6125 2.6558
7.0332 6.6000 13.1202
7.0710 6.4391 5.9923
4.5326 1.6408 12.7388
5.1905 2.7079 5.5917
6.3729 3.4048 2.9534
4.5950 0.1955 10.1155
10.0020 7.4817 3.0340
7.8039 3.5547 10.1190
11.2603 6.6469 5.5994
9.0529 2.7567 12.7039
9.5900 1.5720 5.5919
12.6310 6.7507 12.7659
13.8145 7.4478 10.1258
9.6971 0.0862 3.0140
2.2075 3.8174 8.2759
1.5140 2.5010 10.3846
2.1999 3.5797 1.1669
2.9332 4.8576 3.2549
0.3129 0.1492 10.2328
4.2835 7.0863 3.1741
3.5670 5.3534 12.6060
1.4118 1.4838 5.4852
4.8394 6.1134 10.3169
1.4956 0.0906 3.2756
3.6409 3.7469 10.4258
2.8793 2.3672 3.3116
6.3729 7.8670 12.4722
5.6534 6.4330 5.2993
2.9841 1.7066 12.5350
4.4648 4.0673 5.4477
5.5662 4.7167 3.1365
3.0314 0.2250 10.3201
4.9954 3.1386 12.6008
4.1215 1.5817 5.5417
6.9164 6.4767 0.3483
6.2999 5.3866 12.4428
7.7684 7.7137 5.3880
7.0418 6.3981 7.4747
4.1054 0.1180 3.1940
6.2724 3.8025 10.3154
5.0532 1.0082 13.9563
6.0546 2.5000 4.2467
5.1570 0.9119 11.4390
6.1478 2.6068 1.7406
5.1286 0.8052 8.8854
6.1360 2.5751 6.7406
8.5007 6.5233 12.5108
7.8028 5.1840 5.3958
7.8843 3.7948 3.1445
8.5385 4.8850 10.4253
9.8742 7.1667 10.2555
9.2767 6.0935 3.1741
8.0857 2.9540 8.7937
10.8486 7.6595 1.8403
10.8870 7.6276 4.3887
8.1787 2.6655 13.8818
8.2259 2.5712 11.3128
11.0022 7.3355 6.8986
9.1576 3.0733 5.4919
11.0875 6.4687 12.6769
10.4625 5.3425 5.3763
9.8954 4.0868 12.5484
11.2268 5.0410 10.3713
10.4781 3.6570 3.2249
8.9422 0.9394 6.7652
9.0248 0.9082 4.2175
12.9106 7.6257 11.4424
12.9244 7.5641 8.9424
13.0320 7.5686 13.9330
9.2914 0.6609 1.7080
12.7706 6.3261 5.4359
10.0990 1.5855 12.6479

***

Run b
Li3V3P8O29 | the Materials Project database | GGA+U | optimized geometry; magnetic moment = 0.00 Bohr magnetons per cell; density = 2.49 Mg/m³
1.0
9.7366 0.0000 0.0000
4.8646 8.4492 0.0000
0.1131 0.0417 14.3833
Li V P O
6 6 16 58
Cartesian
0.0000 0.0000 0.0000
0.7727 1.1805 7.0235
5.1537 1.1812 14.3631
7.3672 2.5722 7.7277
7.8026 2.3486 0.8340
13.2805 7.6917 8.5978
2.2921 1.9592 4.3237
5.0947 6.6623 11.5764
3.5943 1.9450 11.4485
5.6747 5.5861 4.3167
10.4819 6.6700 4.3831
9.9399 5.6352 11.5628
2.9327 4.7936 9.8829
2.8999 4.7717 2.6768
7.7292 7.5799 6.0319
7.8368 7.6271 13.1951
5.2269 2.6531 5.6047
5.9318 3.7771 12.8629
5.1716 1.1518 3.0364
7.1703 4.5367 10.2531
8.4429 4.4818 3.0440
5.9410 0.0470 10.2180
9.6391 3.7713 5.6769
12.0228 7.8124 12.8517
10.3983 2.6645 12.7357
13.2925 7.7236 5.5907
9.7140 0.0522 3.0307
10.4466 1.1570 10.1644
2.9535 4.9034 8.4068
2.8554 4.7470 1.1994
3.6578 6.0436 10.5477
2.2241 3.4928 3.3485
4.9958 8.1666 10.3367
0.9886 1.2236 3.2218
4.3301 6.4090 5.4064
2.2052 2.6299 12.5715
5.5781 7.1589 3.1934
2.2519 1.1439 10.4344
3.6600 3.5192 10.4769
4.3404 4.7749 3.2891
2.1263 0.4051 5.4644
6.3647 7.6374 12.5895
5.1859 5.1523 12.6646
3.6834 2.5948 5.4617
6.3578 5.8659 10.4820
3.6287 1.1795 3.2629
5.6715 4.1397 5.4863
4.8723 2.6377 12.7475
7.6854 7.6555 0.2945
7.6869 7.5797 7.5150
7.0040 6.3577 5.3516
3.7358 0.4143 12.5904
6.9321 4.8453 3.1790
4.9097 1.2137 10.3405
6.8190 3.8044 9.0285
5.5961 1.7294 1.7300
6.7631 3.6343 14.0734
5.8143 1.9987 6.7929
5.8161 1.9768 4.2459
6.8281 3.6317 11.5378
9.1560 7.5484 5.3691
8.5364 6.3789 12.5621
8.6709 4.8823 10.4041
10.5231 8.1416 3.2098
10.0449 7.1590 10.4192
9.2502 5.7959 3.2284
6.7742 0.1950 14.0214
8.7143 3.6796 1.8337
6.7962 0.1443 9.0103
8.7569 3.5814 4.3443
6.8912 0.2235 11.5122
8.7853 3.5515 6.8649
10.3399 5.1496 5.5203
11.2274 6.4891 12.6660
11.7718 7.4477 5.5610
9.9185 4.1385 12.7111
11.8956 5.9645 3.3752
11.2594 4.7676 10.5494
8.7191 0.2066 4.3013
9.8117 2.0268 11.3536
9.8481 1.9058 13.8913
13.7168 8.4583 6.8374
8.9678 0.2145 1.7498
10.0852 1.7111 8.8379
13.5561 7.5016 12.8290
10.7378 2.6549 5.5965

***

Stability, highest: run b